This record from the Materials Project describes crystalline Ca5As3O12F at its relaxed geometry. The functional is GGA-PBE.

a b c (Å): 7.042 9.781 9.840
angles (deg): 119.69 91.32 89.35
Atoms (fractional coordinates):
Ca  0.997  0.352  0.691
Ca  0.003  0.648  0.309
Ca  0.760  0.237  0.001
Ca  0.261  0.245  0.246
Ca  0.739  0.755  0.754
Ca  0.497  0.685  0.347
Ca  0.503  0.315  0.653
Ca  0.748  0.001  0.242
Ca  0.252  0.999  0.758
Ca  0.240  0.763  0.999
As  0.242  0.026  0.397
As  0.240  0.606  0.629
As  0.267  0.371  0.973
As  0.733  0.629  0.027
As  0.758  0.974  0.603
As  0.760  0.394  0.371
O  0.071  0.078  0.304
O  0.940  0.736  0.088
O  0.549  0.903  0.632
O  0.584  0.296  0.233
O  0.726  0.513  0.827
O  0.274  0.487  0.173
O  0.754  0.174  0.683
O  0.041  0.636  0.739
O  0.929  0.922  0.696
O  0.228  0.683  0.505
O  0.060  0.264  0.912
O  0.959  0.364  0.261
O  0.416  0.704  0.767
O  0.451  0.097  0.368
O  0.785  0.873  0.403
O  0.553  0.766  0.097
O  0.276  0.405  0.530
O  0.447  0.234  0.903
O  0.246  0.826  0.317
O  0.724  0.595  0.470
O  0.726  0.524  0.126
O  0.274  0.476  0.874
O  0.215  0.127  0.597
O  0.772  0.317  0.495
F  0.754  0.991  0.997
F  0.246  0.009  0.003

Summary:
Mass density in g/cm3: 3.59
Energy relative to the elements in kJ/mol of atoms: -273.5

This record from the Materials Project describes crystalline Ca2As4Xe9F42 at its relaxed geometry. The functional is GGA-PBE.

a b c (Å): 14.535 14.535 23.052
angles (deg): 90.00 90.00 90.00
Atoms (fractional coordinates):
Ca  0.750  0.750  0.922
Ca  0.750  0.750  0.422
Ca  0.250  0.250  0.078
Ca  0.250  0.250  0.578
Ca  0.750  0.250  0.750
Ca  0.750  0.250  0.250
Ca  0.250  0.750  0.250
Ca  0.250  0.750  0.750
As  0.656  0.039  0.646
As  0.844  0.039  0.146
As  0.656  0.461  0.146
As  0.844  0.461  0.646
As  0.039  0.656  0.146
As  0.461  0.656  0.646
As  0.039  0.844  0.646
As  0.461  0.844  0.146
As  0.344  0.961  0.354
As  0.156  0.961  0.854
As  0.344  0.539  0.854
As  0.156  0.539  0.354
As  0.961  0.344  0.854
As  0.539  0.344  0.354
As  0.961  0.156  0.354
As  0.539  0.156  0.854
Xe  0.828  0.985  0.826
Xe  0.672  0.985  0.326
Xe  0.828  0.515  0.326
Xe  0.672  0.515  0.826
Xe  0.985  0.828  0.326
Xe  0.515  0.828  0.826
Xe  0.985  0.672  0.826
Xe  0.515  0.672  0.326
Xe  0.172  0.015  0.174
Xe  0.328  0.015  0.674
Xe  0.172  0.485  0.674
Xe  0.328  0.485  0.174
Xe  0.015  0.172  0.674
Xe  0.485  0.172  0.174
Xe  0.015  0.328  0.174
Xe  0.485  0.328  0.674
Xe  0.661  0.996  0.000
Xe  0.839  0.996  0.500
Xe  0.661  0.504  0.500
Xe  0.839  0.504  0.000
Xe  0.996  0.661  0.500
Xe  0.504  0.661  0.000
Xe  0.996  0.839  0.000
Xe  0.504  0.839  0.500
Xe  0.339  0.004  0.000
Xe  0.161  0.004  0.500
Xe  0.339  0.496  0.500
Xe  0.161  0.496  0.000
Xe  0.004  0.339  0.500
Xe  0.496  0.339  0.000
Xe  0.004  0.161  0.000
Xe  0.496  0.161  0.500
Xe  0.750  0.750  0.133
Xe  0.750  0.750  0.633
Xe  0.250  0.250  0.867
Xe  0.250  0.250  0.367
F  0.843  0.848  0.851
F  0.657  0.848  0.351
F  0.843  0.652  0.351
F  0.657  0.652  0.851
F  0.848  0.843  0.351
F  0.652  0.843  0.851
F  0.848  0.657  0.851
F  0.652  0.657  0.351
F  0.157  0.152  0.149
F  0.343  0.152  0.649
F  0.157  0.348  0.649
F  0.343  0.348  0.149
F  0.152  0.157  0.649
F  0.348  0.157  0.149
F  0.152  0.343  0.149
F  0.348  0.343  0.649
F  0.752  0.904  0.956
F  0.748  0.904  0.456
F  0.752  0.596  0.456
F  0.748  0.596  0.956
F  0.904  0.752  0.456
F  0.596  0.752  0.956
F  0.904  0.748  0.956
F  0.596  0.748  0.456
F  0.248  0.096  0.044
F  0.252  0.096  0.544
F  0.248  0.404  0.544
F  0.252  0.404  0.044
F  0.096  0.248  0.544
F  0.404  0.248  0.044
F  0.096  0.252  0.044
F  0.404  0.252  0.544
F  0.750  0.750  0.041
F  0.750  0.750  0.541
F  0.250  0.250  0.959
F  0.250  0.250  0.459
F  0.814  0.122  0.804
F  0.686  0.122  0.304
F  0.814  0.378  0.304
F  0.686  0.378  0.804
F  0.122  0.814  0.304
F  0.378  0.814  0.804
F  0.122  0.686  0.804
F  0.378  0.686  0.304
F  0.186  0.878  0.196
F  0.314  0.878  0.696
F  0.186  0.622  0.696
F  0.314  0.622  0.196
F  0.878  0.186  0.696
F  0.622  0.186  0.196
F  0.878  0.314  0.196
F  0.622  0.314  0.696
F  0.573  0.084  0.041
F  0.927  0.084  0.541
F  0.573  0.416  0.541
F  0.927  0.416  0.041
F  0.084  0.573  0.541
F  0.416  0.573  0.041
F  0.084  0.927  0.041
F  0.416  0.927  0.541
F  0.427  0.916  0.959
F  0.073  0.916  0.459
F  0.427  0.584  0.459
F  0.073  0.584  0.959
F  0.916  0.427  0.459
F  0.584  0.427  0.959
F  0.916  0.073  0.959
F  0.584  0.073  0.459
F  0.750  0.750  0.222
F  0.750  0.750  0.722
F  0.250  0.250  0.778
F  0.250  0.250  0.278
F  0.693  0.121  0.701
F  0.807  0.121  0.201
F  0.693  0.379  0.201
F  0.807  0.379  0.701
F  0.121  0.693  0.201
F  0.379  0.693  0.701
F  0.121  0.807  0.701
F  0.379  0.807  0.201
F  0.307  0.879  0.299
F  0.193  0.879  0.799
F  0.307  0.621  0.799
F  0.193  0.621  0.299
F  0.879  0.307  0.799
F  0.621  0.307  0.299
F  0.879  0.193  0.299
F  0.621  0.193  0.799
F  0.546  0.091  0.647
F  0.954  0.091  0.147
F  0.546  0.409  0.147
F  0.954  0.409  0.647
F  0.091  0.546  0.147
F  0.409  0.546  0.647
F  0.091  0.954  0.647
F  0.409  0.954  0.147
F  0.454  0.909  0.353
F  0.046  0.909  0.853
F  0.454  0.591  0.853
F  0.046  0.591  0.353
F  0.909  0.454  0.853
F  0.591  0.454  0.353
F  0.909  0.046  0.353
F  0.591  0.046  0.853
F  0.622  0.964  0.703
F  0.878  0.964  0.203
F  0.622  0.536  0.203
F  0.878  0.536  0.703
F  0.964  0.622  0.203
F  0.536  0.622  0.703
F  0.964  0.878  0.703
F  0.536  0.878  0.203
F  0.378  0.036  0.297
F  0.122  0.036  0.797
F  0.378  0.464  0.797
F  0.122  0.464  0.297
F  0.036  0.378  0.797
F  0.464  0.378  0.297
F  0.036  0.122  0.297
F  0.464  0.122  0.797
F  0.768  0.992  0.648
F  0.732  0.992  0.148
F  0.768  0.508  0.148
F  0.732  0.508  0.648
F  0.992  0.768  0.148
F  0.508  0.768  0.648
F  0.992  0.732  0.648
F  0.508  0.732  0.148
F  0.232  0.008  0.352
F  0.268  0.008  0.852
F  0.232  0.492  0.852
F  0.268  0.492  0.352
F  0.008  0.232  0.852
F  0.492  0.232  0.352
F  0.008  0.268  0.352
F  0.492  0.268  0.852
F  0.690  0.118  0.592
F  0.810  0.118  0.092
F  0.690  0.382  0.092
F  0.810  0.382  0.592
F  0.118  0.690  0.092
F  0.382  0.690  0.592
F  0.118  0.810  0.592
F  0.382  0.810  0.092
F  0.310  0.882  0.408
F  0.190  0.882  0.908
F  0.310  0.618  0.908
F  0.190  0.618  0.408
F  0.882  0.310  0.908
F  0.618  0.310  0.408
F  0.882  0.190  0.408
F  0.618  0.190  0.908
F  0.622  0.959  0.593
F  0.878  0.959  0.093
F  0.622  0.541  0.093
F  0.878  0.541  0.593
F  0.959  0.622  0.093
F  0.541  0.622  0.593
F  0.959  0.878  0.593
F  0.541  0.878  0.093
F  0.378  0.041  0.407
F  0.122  0.041  0.907
F  0.378  0.459  0.907
F  0.122  0.459  0.407
F  0.041  0.378  0.907
F  0.459  0.378  0.407
F  0.041  0.122  0.407
F  0.459  0.122  0.907

Summary:
Mass density in g/cm3: 3.22
Energy relative to the elements in kJ/mol of atoms: -180.6

no.,spin magnetization (μB/cell)
1,0.0
2,0.0